Entry 1:
The following is a GGA+U calculation of an optimized crystal structure of MnC2S2N2O12, from the Materials Project.

Values from the calculation:
- energy relative to the elements (kcal/mol of atoms) = -11.92
- SG = P-1 (2)
- corrected total energy (MP2020 scheme) (eV/atom) = -6.41
- size of the total moment (Bohr magnetons per cell) = 5.0

The structure in POSCAR format:
```
MnC2S2N2O12
1.0
6.907 0.000 0.000
1.456 6.988 0.000
0.661 1.655 7.243
Mn C S N O
1 2 2 2 12
Cartesian
0.000 0.000 0.000
4.418 4.008 4.223
4.606 4.634 3.019
1.907 1.746 1.738
7.118 6.896 5.504
4.264 3.472 5.254
4.761 5.170 1.988
0.913 2.674 2.339
1.846 6.020 1.496
1.470 1.275 0.356
3.192 7.876 6.046
3.300 7.563 2.689
3.231 2.314 1.609
5.794 6.328 5.633
5.725 1.080 4.553
5.833 0.766 1.196
7.555 7.367 6.887
7.179 2.622 5.746
8.112 5.968 4.903
```


Entry 2:
The following is a GGA+U calculation of an optimized crystal structure of Li3V2Cr2O8, from the Materials Project.

Values from the calculation:
- offset from the most stable computed form (eV/atom) = 0.000
- energy relative to the elements (kcal/mol of atoms) = -55.45
- SG = P-1 (2)
- corrected total energy (MP2020 scheme) (eV/atom) = -7.92
- size of the total moment (Bohr magnetons per cell) = 9.0

The structure in POSCAR format:
```
Li3V2Cr2O8
1.0
5.872 0.000 0.000
-2.897 5.197 0.000
-2.933 -1.743 4.887
Li V Cr O
3 2 2 8
Cartesian
0.000 0.000 0.000
-1.448 2.599 0.000
1.470 -0.871 2.444
-2.915 1.727 2.444
1.488 2.599 0.000
-1.467 -0.871 2.444
0.021 1.727 2.444
-2.881 0.053 3.580
-1.453 0.873 1.378
-1.497 2.446 3.567
-0.105 0.102 3.598
0.147 3.352 1.289
1.539 1.008 1.321
1.496 2.581 3.509
2.924 3.402 1.307
```


Entry 3:
The following is a GGA+U calculation of an optimized crystal structure of NiH2O2, from the Materials Project.

Values from the calculation:
- offset from the most stable computed form (eV/atom) = 0.017
- energy relative to the elements (kcal/mol of atoms) = -28.33
- corrected total energy (MP2020 scheme) (eV/atom) = -5.72
- size of the total moment (Bohr magnetons per cell) = 0.0

The structure in POSCAR format:
```
NiH2O2
1.0
1.593 -2.021 1.829
6.619 -2.374 -8.391
4.733 4.563 3.623
H O Ni
8 8 4
Cartesian
2.569 0.254 0.764
5.019 -1.350 -0.417
7.067 1.102 0.491
7.923 1.518 -2.520
8.329 -2.538 -4.613
5.881 -0.932 -3.430
4.613 2.704 1.674
10.376 -0.086 -3.705
7.662 1.816 0.760
4.425 -2.064 -0.690
10.970 0.629 -3.434
5.208 3.420 1.941
7.735 -3.253 -4.883
5.286 -1.647 -3.698
1.975 -0.460 0.495
8.519 2.231 -2.251
3.313 -1.189 -4.198
5.759 -2.790 -5.375
2.450 -1.603 -1.182
6.326 2.542 5.449
```


Entry 4:
The following is a GGA+U calculation of an optimized crystal structure of Fe3B7BrO13, from the Materials Project.

Values from the calculation:
- offset from the most stable computed form (eV/atom) = 0.000
- energy relative to the elements (kcal/mol of atoms) = -57.13
- SG = R3c (161)
- corrected total energy (MP2020 scheme) (eV/atom) = -8.23
- size of the total moment (Bohr magnetons per cell) = 24.0

The structure in POSCAR format:
```
Fe3B7BrO13
1.0
4.360 2.517 7.148
-4.360 2.517 7.148
0.000 -5.034 7.148
Fe B Br O
6 14 2 26
Cartesian
-2.397 -1.379 10.722
-0.004 -2.269 7.148
-1.963 1.138 7.148
1.967 1.131 7.148
2.393 -1.386 10.722
0.004 2.765 10.722
0.000 0.000 1.312
-1.329 0.762 4.071
0.005 -1.532 4.071
1.325 0.770 4.071
-2.215 -1.262 15.981
-0.015 -2.485 12.407
-2.145 1.256 12.407
0.000 0.000 12.034
-0.005 -1.532 14.793
-1.325 0.770 14.793
1.329 0.762 14.793
2.160 1.230 12.407
2.200 -1.287 15.981
0.015 2.549 15.981
0.000 0.000 8.642
0.000 0.000 19.364
-0.773 -1.682 5.319
-3.688 1.311 8.375
-1.694 -3.343 10.147
0.000 0.000 3.716
0.709 -3.849 8.375
-1.070 1.511 5.319
-2.976 0.557 11.416
-0.672 -1.206 11.949
-1.383 -1.960 14.990
-2.312 0.622 13.721
-2.048 3.139 10.147
1.006 -2.856 11.416
1.843 0.171 5.319
-1.843 0.171 16.041
-0.709 1.185 11.949
0.618 -2.313 13.721
0.000 0.000 14.438
1.381 0.022 11.949
0.773 -1.682 16.041
-1.006 2.178 14.990
2.979 2.539 8.375
1.971 2.299 11.416
3.742 0.204 10.147
1.694 1.691 13.721
2.389 -0.218 14.990
1.070 1.511 16.041
```


Entry 5:
The following is a GGA+U calculation of an optimized crystal structure of Mn8Si6ClO24, from the Materials Project.

Values from the calculation:
- offset from the most stable computed form (eV/atom) = 0.000
- energy relative to the elements (kcal/mol of atoms) = -56.29
- SG = C2/m (12)
- corrected total energy (MP2020 scheme) (eV/atom) = -8.25
- size of the total moment (Bohr magnetons per cell) = 62.1

The structure in POSCAR format:
```
Mn8Si6ClO24
1.0
11.356 -6.504 0.000
11.356 6.504 0.000
-2.175 0.000 7.646
Mn Si Cl O
16 12 2 48
Cartesian
11.356 4.990 0.000
2.862 0.000 0.109
6.421 3.231 7.621
5.567 1.452 0.375
11.356 2.023 0.000
5.567 -1.452 0.375
14.117 3.231 0.025
8.613 0.000 0.002
11.925 0.000 7.644
6.421 -3.231 7.621
14.971 1.452 7.271
11.356 -2.023 0.000
14.971 -1.452 7.271
14.117 -3.231 0.025
17.676 0.000 7.537
11.356 -4.990 0.000
9.160 4.943 2.823
6.514 3.325 2.835
5.332 1.556 4.899
11.378 4.943 4.823
5.332 -1.556 4.899
14.024 3.325 4.811
6.514 -3.325 2.835
15.205 1.556 2.747
9.160 -4.943 2.823
15.205 -1.556 2.747
14.024 -3.325 4.811
11.378 -4.943 4.823
8.383 0.000 6.181
12.155 0.000 1.465
3.714 1.823 0.864
1.046 0.000 0.792
3.929 2.229 4.502
9.406 4.811 1.200
7.813 4.170 3.194
0.218 0.000 4.450
6.544 2.906 1.237
10.269 4.307 3.823
6.495 2.093 3.897
8.359 3.447 6.716
5.586 1.719 6.516
2.552 0.000 7.064
11.131 4.811 6.446
12.179 3.447 0.930
5.197 0.000 4.555
12.725 4.170 4.452
9.581 1.765 0.758
6.879 0.000 0.855
3.714 -1.823 0.864
3.929 -2.229 4.502
10.957 1.765 6.888
5.586 -1.719 6.516
13.994 2.906 6.409
6.495 -2.093 3.897
14.043 2.093 3.749
6.544 -2.906 1.237
14.952 1.719 1.130
9.581 -1.765 0.758
16.609 2.229 3.144
16.824 1.823 6.782
13.659 0.000 6.791
10.957 -1.765 6.888
7.813 -4.170 3.194
15.341 0.000 3.091
8.359 -3.447 6.716
9.406 -4.811 1.200
17.985 0.000 0.582
14.952 -1.719 1.130
12.179 -3.447 0.930
14.043 -2.093 3.749
10.269 -4.307 3.823
13.994 -2.906 6.409
20.320 0.000 3.196
12.725 -4.170 4.452
11.131 -4.811 6.446
16.609 -2.229 3.144
19.492 0.000 6.854
16.824 -1.823 6.782
```


Entry 6:
The following is a GGA+U calculation of an optimized crystal structure of PrV2O6, from the Materials Project.

Values from the calculation:
- energy relative to the elements (kcal/mol of atoms) = -63.58
- SG = P2_1 (4)
- corrected total energy (MP2020 scheme) (eV/atom) = -8.61
- size of the total moment (Bohr magnetons per cell) = 2.0

The structure in POSCAR format:
```
PrV2O6
1.0
5.426 0.000 0.000
0.000 5.414 0.000
-0.029 0.000 7.619
Pr V O
2 4 12
Cartesian
1.195 0.000 1.962
4.202 2.707 5.657
1.379 2.669 3.791
1.385 2.851 7.567
4.012 0.143 0.052
4.018 5.376 3.828
0.093 4.045 7.414
0.123 4.019 3.988
1.310 2.377 5.792
1.386 2.949 1.828
2.527 1.222 3.617
2.560 1.138 0.232
2.837 3.845 7.387
2.870 3.929 4.002
4.011 0.242 5.791
4.088 5.084 1.826
5.274 1.312 3.631
5.304 1.338 0.204
```


Entry 7:
The following is a GGA+U calculation of an optimized crystal structure of SmCrGeO5, from the Materials Project.

Values from the calculation:
- energy relative to the elements (kcal/mol of atoms) = -65.05
- SG = Pbam (55)
- corrected total energy (MP2020 scheme) (eV/atom) = -8.29
- size of the total moment (Bohr magnetons per cell) = 12.0

The structure in POSCAR format:
```
SmCrGeO5
1.0
7.516 0.000 0.000
0.000 8.580 0.000
0.000 0.000 5.841
Sm Cr Ge O
4 4 4 20
Cartesian
1.057 1.494 0.000
2.701 5.784 0.000
4.815 2.796 0.000
6.459 7.087 0.000
0.000 4.290 1.471
0.000 4.290 4.370
3.758 0.000 1.471
3.758 0.000 4.370
0.875 7.349 2.920
2.883 3.059 2.920
4.633 5.522 2.920
6.641 1.231 2.920
0.000 0.000 1.700
0.000 0.000 4.140
0.806 6.161 1.484
0.806 6.161 4.356
1.198 3.616 2.920
1.247 3.824 0.000
2.511 8.115 0.000
2.560 7.906 2.920
2.952 1.871 1.484
2.952 1.871 4.356
3.758 4.290 1.700
3.758 4.290 4.140
4.564 6.709 1.484
4.564 6.709 4.356
4.956 0.675 2.920
5.005 0.466 0.000
6.269 4.756 0.000
6.318 4.965 2.920
6.710 2.419 1.484
6.710 2.419 4.356
```


Entry 8:
The following is a GGA+U calculation of an optimized crystal structure of NaPrV4O12, from the Materials Project.

Values from the calculation:
- energy relative to the elements (kcal/mol of atoms) = -56.27
- SG = P4/mmm (123)
- corrected total energy (MP2020 scheme) (eV/atom) = -8.10
- size of the total moment (Bohr magnetons per cell) = 0.0

The structure in POSCAR format:
```
NaPrV4O12
1.0
5.314 0.000 0.000
0.000 5.314 0.000
0.000 0.000 7.557
Na Pr V O
1 1 4 12
Cartesian
0.000 0.000 0.000
2.657 2.657 3.778
0.000 2.657 1.842
0.000 2.657 5.714
2.657 0.000 1.842
2.657 0.000 5.714
0.000 2.657 0.000
0.000 2.657 3.778
1.350 1.350 1.918
1.350 1.350 5.638
1.350 3.964 1.918
1.350 3.964 5.638
2.657 0.000 0.000
2.657 0.000 3.778
3.964 1.350 1.918
3.964 1.350 5.638
3.964 3.964 1.918
3.964 3.964 5.638
```


Entry 9:
The following is a GGA+U calculation of an optimized crystal structure of Li3FeO4, from the Materials Project.

Values from the calculation:
- offset from the most stable computed form (eV/atom) = 0.043
- energy relative to the elements (kcal/mol of atoms) = -40.63
- SG = P1 (1)
- corrected total energy (MP2020 scheme) (eV/atom) = -6.01
- size of the total moment (Bohr magnetons per cell) = 15.6

The structure in POSCAR format:
```
Li3FeO4
1.0
5.017 0.000 0.000
0.001 5.841 0.000
1.871 2.909 9.508
Li Fe O
12 4 16
Cartesian
0.000 0.000 0.000
6.886 5.797 9.507
0.972 7.276 4.810
1.726 2.894 2.381
1.726 5.828 2.382
2.497 1.442 0.018
2.502 4.363 0.014
3.449 2.895 4.760
3.449 5.822 4.759
5.180 2.898 7.145
5.180 5.814 7.144
5.909 4.360 4.729
2.661 4.354 7.142
2.695 7.275 7.142
4.206 4.360 2.379
4.245 1.440 2.377
0.703 4.359 1.285
0.727 1.439 1.298
1.887 2.819 6.056
1.886 5.893 6.055
3.465 2.829 8.235
3.464 5.877 8.234
2.707 4.361 3.467
2.751 1.440 3.455
4.156 4.354 6.063
4.195 7.275 6.054
3.438 2.965 1.284
3.439 5.757 1.285
5.018 2.975 3.463
5.020 5.742 3.464
6.180 4.355 8.216
6.202 7.276 8.234
```


Entry 10:
The following is a GGA+U calculation of an optimized crystal structure of Ba10MgMn6O24F2, from the Materials Project.

Values from the calculation:
- offset from the most stable computed form (eV/atom) = 0.043
- energy relative to the elements (kcal/mol of atoms) = -57.57
- SG = Pm (6)
- corrected total energy (MP2020 scheme) (eV/atom) = -7.11
- size of the total moment (Bohr magnetons per cell) = 14.0

The structure in POSCAR format:
```
Ba10MgMn6O24F2
1.0
10.693 0.000 0.000
0.000 7.722 0.000
-5.333 0.000 9.476
Ba Mg Mn O F
10 1 6 24 2
Cartesian
0.000 0.000 0.000
-3.783 3.861 7.237
1.544 3.861 2.251
-1.504 0.000 8.427
5.171 3.861 0.027
2.531 1.957 6.368
2.531 5.766 6.368
4.414 0.000 3.165
8.090 2.002 2.944
8.090 5.720 2.944
-2.395 0.000 5.471
0.506 0.000 3.373
-0.428 3.861 5.960
4.560 3.861 3.986
6.785 0.000 0.369
3.946 3.861 9.140
6.044 0.000 6.260
-3.321 1.268 6.726
-3.321 6.454 6.726
-1.834 3.861 4.958
-1.027 0.000 4.202
0.422 1.359 2.331
0.422 6.363 2.331
-0.354 2.499 7.021
-0.354 5.223 7.021
1.028 3.861 5.024
1.823 0.000 4.433
3.592 2.513 3.533
3.592 5.210 3.533
1.407 0.000 8.142
5.928 1.351 1.003
5.928 6.372 1.003
2.371 3.861 8.429
4.216 0.000 6.162
4.621 3.861 5.701
6.077 3.861 3.163
8.357 0.000 1.083
6.761 0.000 4.199
4.792 2.480 8.576
4.792 5.242 8.576
9.222 3.861 1.385
2.897 2.255 0.170
2.897 5.468 0.170
```


Entry 11:
The following is a GGA+U calculation of an optimized crystal structure of Co2H2CO5, from the Materials Project.

Values from the calculation:
- energy relative to the elements (kcal/mol of atoms) = -33.44
- SG = P2_1/c (14)
- corrected total energy (MP2020 scheme) (eV/atom) = -6.95
- size of the total moment (Bohr magnetons per cell) = 24.0

The structure in POSCAR format:
```
Co2H2CO5
1.0
3.195 0.000 0.000
0.000 12.306 0.000
-0.515 0.000 9.659
Co H C O
8 8 4 20
Cartesian
-0.117 1.389 2.756
-0.374 4.764 7.586
1.006 2.627 0.167
0.749 3.526 4.997
1.931 8.780 4.663
1.674 9.679 9.492
3.055 7.542 2.074
2.797 10.918 6.903
0.873 7.393 9.654
1.131 11.066 4.824
1.441 0.229 1.045
1.183 5.924 5.874
1.497 6.382 3.785
1.240 12.077 8.614
1.550 1.240 4.835
1.807 4.913 0.005
-0.370 1.623 7.159
-0.113 4.530 2.329
2.793 7.776 7.330
3.051 10.683 2.500
-0.449 1.479 8.450
-0.191 4.674 3.621
-0.365 6.783 8.130
-0.107 11.676 3.301
-0.268 2.840 6.663
-0.011 3.313 1.833
1.505 8.045 0.724
1.247 10.414 5.554
1.476 1.140 1.389
1.219 5.013 6.219
1.462 7.293 3.440
1.204 11.166 8.270
1.433 1.892 4.105
1.175 4.261 8.935
2.691 8.993 7.826
2.948 9.466 2.996
2.787 0.630 6.359
3.045 5.523 1.529
2.872 7.632 6.039
3.129 10.827 1.209
```